{"formula": "LaBi2Au", "functional": "GGA-PBE", "state": "optimized geometry", "final_energy_ev_per_atom": -4.65, "magmom_total_mub_per_cell": 0.00, "sg": "P4/nmm, No. 129", "ef_mev_per_atom": -648.0, "lattice": [[-1.9924, 4.2634, 0.5391], [-4.2530, -1.8710, -0.9213], [-1.3207, -1.8676, 9.8891]], "species": ["La", "La", "Bi", "Bi", "Bi", "Bi", "Au", "Au"], "fractional_positions": [[0.5000, 0.0000, 0.2334], [0.0000, 0.5000, 0.7666], [0.0000, 0.5000, 0.1862], [0.5000, 0.0000, 0.8138], [0.0000, 0.0000, 0.5000], [0.5000, 0.5000, 0.5000], [0.0000, 0.0000, 0.0000], [0.5000, 0.5000, 0.0000]]}